Record 1
This record from the Materials Project describes a geometry-optimized Eu3SbO7 structure. The functional is PBE.

Unit cell a=7.5774 b=10.8501 c=7.7127 alpha=90.00 beta=90.00 gamma=90.00
Space group C222_1 (No. 20)
Asymmetric unit:
Eu  0.0032  0.0000  0.0000 [4 per cell]
Eu  0.2372  0.2654  0.7509 [8 per cell]
Sb  0.0022  0.5000  0.5000 [4 per cell]
O  0.0000  0.1284  0.2500 [4 per cell]
O  0.0000  0.1376  0.7500 [4 per cell]
O  0.0000  0.4369  0.7500 [4 per cell]
O  0.1892  0.3755  0.0306 [8 per cell]
O  0.1987  0.3779  0.4726 [8 per cell]

Calculated density: 7.2 g/cm3
VASP energy: -8.7620 eV per atom

---

Record 2
This record from the Materials Project describes a geometry-optimized SmEu2SbO6 structure. The functional is PBE.

Unit cell a=8.4987 b=8.4987 c=8.4987 alpha=90.00 beta=90.00 gamma=90.00
Space group Fm-3m (No. 225)
Asymmetric unit:
Sm  0.0000  0.0000  0.0000 [4 per cell]
Eu  0.2500  0.2500  0.2500 [8 per cell]
Sb  0.0000  0.0000  0.5000 [4 per cell]
O  0.0000  0.0000  0.2657 [24 per cell]

Calculated density: 7.3 g/cm3
VASP energy: -8.4189 eV per atom

---

Record 3
This record from the Materials Project describes a geometry-optimized SmEu2SbO6 structure. The functional is PBE.

Unit cell a=8.4439 b=8.4439 c=8.4439 alpha=90.00 beta=90.00 gamma=90.00
Space group Pn-3 (No. 201, origin choice 2)
Asymmetric unit:
Sm  0.0000  0.0000  0.0000 [4 per cell]
Eu  0.2500  0.2500  0.2500 [2 per cell]
Eu  0.2500  0.2500  0.7500 [6 per cell]
Sb  0.0000  0.0000  0.5000 [4 per cell]
O  0.0351  0.5429  0.7676 [24 per cell]

Calculated density: 7.4 g/cm3
VASP energy: -8.4743 eV per atom

---

Record 4
This record from the Materials Project describes a geometry-optimized Sr2EuSbO6 structure. The functional is PBE.

Unit cell a=8.4507 b=8.4507 c=8.4507 alpha=90.00 beta=90.00 gamma=90.00
Space group Pn-3 (No. 201, origin choice 2)
Asymmetric unit:
Sr  0.2500  0.2500  0.2500 [2 per cell]
Sr  0.2500  0.2500  0.7500 [6 per cell]
Eu  0.0000  0.0000  0.0000 [4 per cell]
Sb  0.0000  0.0000  0.5000 [4 per cell]
O  0.0326  0.5391  0.7670 [24 per cell]

Calculated density: 6.0 g/cm3
VASP energy: -7.1797 eV per atom

---

Record 5
This record from the Materials Project describes a geometry-optimized Sr2EuSbO6 structure. The functional is PBE.

Unit cell a=8.4839 b=8.4839 c=8.4839 alpha=90.00 beta=90.00 gamma=90.00
Space group Fm-3m (No. 225)
Asymmetric unit:
Sr  0.2500  0.2500  0.2500 [8 per cell]
Eu  0.0000  0.0000  0.0000 [4 per cell]
Sb  0.0000  0.0000  0.5000 [4 per cell]
O  0.0000  0.0000  0.2648 [24 per cell]

Calculated density: 5.9 g/cm3
VASP energy: -7.1357 eV per atom

---

Record 6
This record from the Materials Project describes a geometry-optimized SrEuYSbO6 structure. The functional is PBE.

Unit cell a=8.3889 b=8.3889 c=8.3889 alpha=90.00 beta=90.00 gamma=90.00
Space group F-43m (No. 216)
Asymmetric unit:
Sr  0.0000  0.0000  0.0000 [4 per cell]
Eu  0.0000  0.0000  0.5000 [4 per cell]
Y  0.2500  0.2500  0.2500 [4 per cell]
Sb  0.2500  0.2500  0.7500 [4 per cell]
O  0.0127  0.2500  0.7500 [24 per cell]

Calculated density: 6.1 g/cm3
VASP energy: -7.8271 eV per atom

---

Record 7
This record from the Materials Project describes a geometry-optimized TbEu2SbO6 structure. The functional is PBE.

Unit cell a=8.3945 b=8.3945 c=8.3945 alpha=90.00 beta=90.00 gamma=90.00
Space group Pn-3 (No. 201, origin choice 2)
Asymmetric unit:
Tb  0.0000  0.0000  0.0000 [4 per cell]
Eu  0.2500  0.2500  0.2500 [2 per cell]
Eu  0.2500  0.2500  0.7500 [6 per cell]
Sb  0.0000  0.0000  0.5000 [4 per cell]
O  0.0337  0.5402  0.7649 [24 per cell]

Calculated density: 7.6 g/cm3
VASP energy: -8.5119 eV per atom

---

Record 8
This record from the Materials Project describes a geometry-optimized TbEu2SbO6 structure. The functional is PBE.

Unit cell a=8.4106 b=8.4106 c=8.4106 alpha=90.00 beta=90.00 gamma=90.00
Space group Fm-3m (No. 225)
Asymmetric unit:
Tb  0.0000  0.0000  0.0000 [4 per cell]
Eu  0.2500  0.2500  0.2500 [8 per cell]
Sb  0.0000  0.0000  0.5000 [4 per cell]
O  0.0000  0.0000  0.2634 [24 per cell]

Calculated density: 7.6 g/cm3
VASP energy: -8.4705 eV per atom

---

Record 9
This record from the Materials Project describes a geometry-optimized Eu2TiSbO6 structure. The functional is PBE.

Unit cell a=8.1322 b=8.1322 c=8.1322 alpha=90.00 beta=90.00 gamma=90.00
Space group Fm-3m (No. 225)
Asymmetric unit:
Eu  0.2500  0.2500  0.2500 [8 per cell]
Ti  0.0000  0.0000  0.0000 [4 per cell]
Sb  0.0000  0.0000  0.5000 [4 per cell]
O  0.0000  0.0000  0.2429 [24 per cell]

Calculated density: 7.0 g/cm3
VASP energy: -8.6788 eV per atom

---

Record 10
This record from the Materials Project describes a geometry-optimized Eu2YSbO6 structure. The functional is PBE.

Unit cell a=8.3877 b=8.3877 c=8.3877 alpha=90.00 beta=90.00 gamma=90.00
Space group Fm-3m (No. 225)
Asymmetric unit:
Eu  0.2500  0.2500  0.2500 [8 per cell]
Y  0.0000  0.0000  0.0000 [4 per cell]
Sb  0.0000  0.0000  0.5000 [4 per cell]
O  0.0000  0.0000  0.2628 [24 per cell]

Calculated density: 6.9 g/cm3
VASP energy: -8.6529 eV per atom

---

Record 11
This record from the Materials Project describes a geometry-optimized EuSeO3 structure. The functional is PBE.

Unit cell a=4.4722 b=5.5139 c=6.5794 alpha=90.00 beta=107.12 gamma=90.00
Space group P2_1/m (No. 11)
Asymmetric unit:
Eu  0.1579  0.2500  0.3007 [2 per cell]
Se  0.4292  0.2500  0.8464 [2 per cell]
O  0.1682  0.7500  0.1079 [2 per cell]
O  0.3171  0.0087  0.6666 [4 per cell]

Calculated density: 6.0 g/cm3
VASP energy: -7.5642 eV per atom

---

Record 12
This record from the Materials Project describes a geometry-optimized EuSe2O8 structure. The functional is PBE.

Unit cell a=9.5472 b=14.0553 c=10.2750 alpha=90.00 beta=90.00 gamma=90.00
Space group Pbca (No. 61)
Asymmetric unit:
Eu  0.2210  0.1051  0.0472 [8 per cell]
Se  0.9998  0.0648  0.7201 [8 per cell]
Se  0.1842  0.6500  0.4005 [8 per cell]
O  0.0109  0.6570  0.4157 [8 per cell]
O  0.0800  0.5265  0.1484 [8 per cell]
O  0.0864  0.6272  0.8922 [8 per cell]
O  0.1085  0.1357  0.8017 [8 per cell]
O  0.1137  0.5226  0.6700 [8 per cell]
O  0.2364  0.6807  0.2515 [8 per cell]
O  0.2365  0.5385  0.4252 [8 per cell]
O  0.2416  0.2238  0.5059 [8 per cell]

Calculated density: 4.2 g/cm3
VASP energy: -6.1637 eV per atom

---

Record 13
This record from the Materials Project describes a geometry-optimized EuSiO3 structure. The functional is PBE.

Unit cell a=3.7177 b=3.7177 c=3.7177 alpha=90.00 beta=90.00 gamma=90.00
Space group Pm-3m (No. 221)
Asymmetric unit:
Eu  0.0000  0.0000  0.0000 [1 per cell]
Si  0.5000  0.5000  0.5000 [1 per cell]
O  0.0000  0.5000  0.5000 [3 per cell]

Calculated density: 7.4 g/cm3
VASP energy: -8.7705 eV per atom

---

Record 14
This record from the Materials Project describes a geometry-optimized SmEu2TaO6 structure. The functional is PBE.

Unit cell a=8.5079 b=8.5079 c=8.5079 alpha=90.00 beta=90.00 gamma=90.00
Space group Fm-3m (No. 225)
Asymmetric unit:
Sm  0.0000  0.0000  0.0000 [4 per cell]
Eu  0.2500  0.2500  0.2500 [8 per cell]
Ta  0.0000  0.0000  0.5000 [4 per cell]
O  0.0000  0.0000  0.2659 [24 per cell]

Calculated density: 7.9 g/cm3
VASP energy: -9.6614 eV per atom